A plane-wave DFT calculation with GGA-PBE was carried out for a relaxed Na3LaB2O6 crystal.

Lattice parameters (Å, degrees): 8.9561 6.7511 12.3067 57.84 90.00 90.00
Atoms (fractional coordinates):
Na 0.2366 0.8180 0.6575
Na 0.8112 0.5819 0.8970
Na 0.5627 0.6130 0.1066
Na 0.6888 0.5819 0.3970
Na 0.1888 0.4181 0.1030
Na 0.7634 0.1820 0.3425
Na 0.4373 0.3870 0.8934
Na 0.9373 0.6130 0.6066
Na 0.0627 0.3870 0.3934
Na 0.7366 0.1820 0.8425
Na 0.2634 0.8180 0.1575
Na 0.3112 0.4181 0.6030
B 0.5681 0.1299 0.1252
B 0.4013 0.4179 0.3608
B 0.4319 0.8701 0.8748
B 0.9013 0.5821 0.1393
B 0.5987 0.5821 0.6392
B 0.0681 0.8701 0.3748
B 0.9319 0.1299 0.6252
B 0.0987 0.4179 0.8608
O 0.2109 0.3798 0.7951
O 0.4817 0.7463 0.5854
O 0.9200 0.8005 0.3844
O 0.3989 0.6130 0.3691
O 0.7109 0.6202 0.7049
O 0.1356 0.9880 0.2528
O 0.8485 0.1765 0.5192
O 0.0800 0.1995 0.6156
O 0.9817 0.2537 0.9146
O 0.5183 0.2537 0.4146
O 0.3644 0.9880 0.7528
O 0.5800 0.8005 0.8844
O 0.3485 0.8235 0.9808
O 0.8644 0.0120 0.7472
O 0.0183 0.7463 0.0854
O 0.6515 0.1765 0.0192
O 0.6356 0.0120 0.2472
O 0.4200 0.1995 0.1156
O 0.2891 0.3798 0.2951
O 0.1515 0.8235 0.4808
O 0.6011 0.3870 0.6309
O 0.8989 0.3870 0.1309
O 0.7891 0.6202 0.2049
O 0.1011 0.6130 0.8691
La 0.3866 0.9851 0.3547
La 0.1134 0.9851 0.8547
La 0.8866 0.0149 0.1453
La 0.6134 0.0149 0.6453

As for the calculated formation energy: -2820 meV per atom. For the corrected total energy (MP2020 scheme), the calculation gives -7.149 eV per atom.

A plane-wave DFT calculation with GGA-PBE was carried out for a relaxed ScH3Br3N crystal.

Lattice parameters (Å, degrees): 7.6662 9.7848 9.9031 72.80 76.73 80.81
Atoms (fractional coordinates):
H 0.2399 0.7602 0.1458
H 0.7018 0.7391 0.3496
H 0.7538 0.0997 0.9964
H 0.7778 0.7395 0.4918
H 0.7601 0.2398 0.8542
H 0.2982 0.2609 0.6504
H 0.2222 0.2605 0.5082
H 0.2462 0.9003 0.0036
H 0.3957 0.7595 0.0011
H 0.6880 0.5981 0.4910
H 0.6043 0.2405 0.9989
H 0.3120 0.4019 0.5090
N 0.6748 0.7088 0.4606
N 0.3252 0.2912 0.5394
N 0.7379 0.2105 0.9651
N 0.2621 0.7895 0.0349
Br 0.2379 0.6856 0.4269
Br 0.4155 0.0473 0.3357
Br 0.5845 0.9527 0.6643
Br 0.9078 0.0856 0.2977
Br 0.2054 0.1813 0.9361
Br 0.7946 0.8187 0.0639
Br 0.0982 0.4602 0.1606
Br 0.6046 0.4091 0.2090
Br 0.7621 0.3144 0.5731
Br 0.9018 0.5398 0.8394
Br 0.3954 0.5909 0.7910
Br 0.0922 0.9144 0.7023
Sc 0.0786 0.6952 0.9404
Sc 0.6023 0.1921 0.4476
Sc 0.9214 0.3048 0.0596
Sc 0.3977 0.8079 0.5524

As for the calculated formation energy: -1156 meV per atom. For the corrected total energy (MP2020 scheme), the calculation gives -4.876 eV per atom.